No. 1
r²SCAN RbScF4, relaxed; E = -10.17 eV per atom; space-group type = No. 63; volume = 17.72 Å³ per atom; total magnetic moment = 0.00 Bohr magnetons per cell; ΔE_f = -3860 meV per atom
1.0
2.052 -6.468 0.000
2.052 6.468 0.000
0.000 0.000 8.013
Rb Sc F
2 2 8
Direct
0.231 0.769 0.750 Rb
0.769 0.231 0.250 Rb
0.500 0.500 0.000 Sc
0.500 0.500 0.500 Sc
0.000 0.000 0.000 F
0.000 0.000 0.500 F
0.350 0.650 0.049 F
0.350 0.650 0.451 F
0.466 0.534 0.750 F
0.534 0.466 0.250 F
0.650 0.350 0.549 F
0.650 0.350 0.951 F


No. 2
r²SCAN Ho5Ge10Rh4, relaxed; E = -21.90 eV per atom; space-group type = No. 127; volume = 18.81 Å³ per atom; total magnetic moment = 0.00 Bohr magnetons per cell; ΔE_f = -861 meV per atom
1.0
12.949 0.000 0.000
0.000 12.949 0.000
0.000 0.000 4.262
Ho Ge Rh
10 20 8
Direct
0.000 0.000 0.000 Ho
0.113 0.387 0.500 Ho
0.174 0.674 0.500 Ho
0.326 0.174 0.500 Ho
0.387 0.887 0.500 Ho
0.500 0.500 0.000 Ho
0.613 0.113 0.500 Ho
0.674 0.826 0.500 Ho
0.826 0.326 0.500 Ho
0.887 0.613 0.500 Ho
0.003 0.842 0.500 Ge
0.067 0.567 0.000 Ge
0.158 0.003 0.500 Ge
0.162 0.201 0.000 Ge
0.201 0.838 0.000 Ge
0.299 0.338 0.000 Ge
0.338 0.701 0.000 Ge
0.342 0.503 0.500 Ge
0.433 0.067 0.000 Ge
0.497 0.342 0.500 Ge
0.503 0.658 0.500 Ge
0.567 0.933 0.000 Ge
0.658 0.497 0.500 Ge
0.662 0.299 0.000 Ge
0.701 0.662 0.000 Ge
0.799 0.162 0.000 Ge
0.838 0.799 0.000 Ge
0.842 0.997 0.500 Ge
0.933 0.433 0.000 Ge
0.997 0.158 0.500 Ge
0.021 0.755 0.000 Rh
0.245 0.021 0.000 Rh
0.255 0.521 0.000 Rh
0.479 0.255 0.000 Rh
0.521 0.745 0.000 Rh
0.745 0.479 0.000 Rh
0.755 0.979 0.000 Rh
0.979 0.245 0.000 Rh


No. 3
r²SCAN PuI4O12, relaxed; E = -15.99 eV per atom; space-group type = No. 86; volume = 15.21 Å³ per atom; total magnetic moment = 8.00 Bohr magnetons per cell; ΔE_f = -917 meV per atom
1.0
9.862 0.000 0.000
0.000 9.862 0.000
0.000 0.000 5.316
Pu I O
2 8 24
Direct
0.250 0.250 0.250 Pu
0.750 0.750 0.750 Pu
0.026 0.750 0.220 I
0.250 0.526 0.720 I
0.250 0.974 0.720 I
0.474 0.750 0.220 I
0.526 0.250 0.780 I
0.750 0.026 0.280 I
0.750 0.474 0.280 I
0.974 0.250 0.780 I
0.058 0.330 0.046 O
0.094 0.323 0.554 O
0.128 0.841 0.754 O
0.159 0.628 0.254 O
0.170 0.058 0.454 O
0.177 0.094 0.946 O
0.323 0.406 0.946 O
0.330 0.442 0.454 O
0.341 0.872 0.254 O
0.372 0.659 0.754 O
0.406 0.177 0.554 O
0.442 0.170 0.046 O
0.558 0.830 0.954 O
0.594 0.823 0.446 O
0.628 0.341 0.246 O
0.659 0.128 0.746 O
0.670 0.558 0.546 O
0.677 0.594 0.054 O
0.823 0.906 0.054 O
0.830 0.942 0.546 O
0.841 0.372 0.746 O
0.872 0.159 0.246 O
0.906 0.677 0.446 O
0.942 0.670 0.954 O


No. 4
r²SCAN ZnAg2P2O9, relaxed; E = -10.19 eV per atom; space-group type = No. 62; volume = 12.10 Å³ per atom; total magnetic moment = 0.00 Bohr magnetons per cell; ΔE_f = -1373 meV per atom
1.0
17.008 0.000 0.000
0.000 6.219 0.000
0.000 0.000 6.407
Zn Ag P O
4 8 8 36
Direct
0.206 0.250 0.121 Zn
0.294 0.750 0.621 Zn
0.706 0.250 0.379 Zn
0.794 0.750 0.879 Zn
0.000 0.000 0.000 Ag
0.000 0.500 0.000 Ag
0.123 0.250 0.627 Ag
0.377 0.750 0.127 Ag
0.500 0.000 0.500 Ag
0.500 0.500 0.500 Ag
0.623 0.250 0.873 Ag
0.877 0.750 0.373 Ag
0.078 0.750 0.599 P
0.208 0.750 0.132 P
0.292 0.250 0.632 P
0.422 0.250 0.099 P
0.578 0.750 0.901 P
0.708 0.750 0.368 P
0.792 0.250 0.868 P
0.922 0.250 0.401 P
0.017 0.750 0.787 O
0.029 0.750 0.407 O
0.066 0.250 0.903 O
0.136 0.565 0.634 O
0.136 0.935 0.634 O
0.160 0.545 0.108 O
0.160 0.955 0.108 O
0.225 0.250 0.451 O
0.246 0.250 0.835 O
0.254 0.750 0.335 O
0.275 0.750 0.951 O
0.340 0.045 0.608 O
0.340 0.455 0.608 O
0.364 0.065 0.134 O
0.364 0.435 0.134 O
0.434 0.750 0.403 O
0.471 0.250 0.907 O
0.483 0.250 0.287 O
0.517 0.750 0.713 O
0.529 0.750 0.093 O
0.566 0.250 0.597 O
0.636 0.565 0.866 O
0.636 0.935 0.866 O
0.660 0.545 0.392 O
0.660 0.955 0.392 O
0.725 0.250 0.049 O
0.746 0.250 0.665 O
0.754 0.750 0.165 O
0.775 0.750 0.549 O
0.840 0.045 0.892 O
0.840 0.455 0.892 O
0.864 0.065 0.366 O
0.864 0.435 0.366 O
0.934 0.750 0.097 O
0.971 0.250 0.593 O
0.983 0.250 0.213 O